No. 1
# Gd2FeSbO7 (PBE+U, relaxed)
# formation enthalpy at 0 K: -2.8411 eV/atom
# spin magnetization: 38.0 μB/cell
data_Gd2FeSbO7
_symmetry_space_group_name_H-M 'P 1'
_symmetry_Int_Tables_number 1
_symmetry_space_group_name_Hall 'P 1'
_cell_length_a 7.323
_cell_length_b 7.323
_cell_length_c 7.323
_cell_angle_alpha 120.33
_cell_angle_beta 119.61
_cell_angle_gamma 90.06
loop_
_atom_site_label
_atom_site_fract_x
_atom_site_fract_y
_atom_site_fract_z
Gd1 0.000 0.000 0.000
Gd2 0.500 0.000 0.000
Gd3 0.500 0.000 0.500
Gd4 0.500 0.500 0.500
Fe1 0.000 0.000 0.500
Fe2 0.000 0.500 0.000
Sb1 0.000 0.500 0.500
Sb2 0.500 0.500 0.000
O1 0.086 0.422 0.258
O2 0.086 0.828 0.664
O3 0.086 0.836 0.250
O4 0.329 0.579 0.750
O5 0.336 0.172 0.758
O6 0.336 0.578 0.164
O7 0.377 0.127 0.250
O8 0.623 0.873 0.750
O9 0.664 0.422 0.836
O10 0.664 0.828 0.242
O11 0.671 0.421 0.250
O12 0.914 0.164 0.750
O13 0.914 0.172 0.336
O14 0.914 0.578 0.742

No. 2
# SrGd2Fe3O9 (PBE+U, relaxed)
# formation enthalpy at 0 K: -2.4892 eV/atom
# spin magnetization: 0.0 μB/cell
data_SrGd2Fe3O9
_symmetry_space_group_name_H-M 'P 1'
_symmetry_Int_Tables_number 1
_symmetry_space_group_name_Hall 'P 1'
_cell_length_a 5.515
_cell_length_b 5.515
_cell_length_c 6.729
_cell_angle_alpha 90.00
_cell_angle_beta 90.00
_cell_angle_gamma 120.00
loop_
_atom_site_label
_atom_site_fract_x
_atom_site_fract_y
_atom_site_fract_z
Sr1 0.000 0.000 0.000
Gd1 0.333 0.667 0.649
Gd2 0.667 0.333 0.351
Fe1 0.000 0.000 0.500
Fe2 0.333 0.667 0.161
Fe3 0.667 0.333 0.839
O1 0.000 0.500 0.000
O2 0.173 0.345 0.346
O3 0.173 0.827 0.346
O4 0.345 0.173 0.654
O5 0.500 0.000 0.000
O6 0.500 0.500 0.000
O7 0.655 0.827 0.346
O8 0.827 0.173 0.654
O9 0.827 0.655 0.654